## LiSnCl3 (PBE-GGA)

Data for a relaxed structure of LiSnCl3.

Unit cell a=7.0020 b=7.0020 c=18.3521 alpha=90.00 beta=90.00 gamma=120.00
Space group R3c (No. 161, hexagonal axes)
One atom of each set of equivalent atoms:
1 Li 0.0000 0.0000 0.0000 (multiplicity 6)
2 Sn 0.0000 0.0000 0.1957 (multiplicity 6)
3 Cl 0.0138 0.4123 0.2676 (multiplicity 18)

Properties
- Largest piezoelectric modulus: 1.7 C/m²
- Energy relative to the elements: -163 kJ/mol of atoms
- Offset from the most stable computed form: 0.0 meV/atom